1.
The following is a PBE+U calculation of crystalline K2V3P2O13F2 at its relaxed geometry, from the Materials Project.

Properties
Energy with MP2020 corrections ... -7.31 eV/atom
Magnetic moment ... 6.00 μB per cell
Energy of formation from the pure elements ... -2.3817 eV/atom

a b c (Å): 7.291 8.882 10.471
angles (deg): 104.77 99.36 90.96
Fractional coordinates of all 44 atoms:
O 0.102 0.336 0.925
O 0.883 0.036 0.344
O 0.882 0.360 0.359
O 0.593 0.293 0.592
O 0.634 0.815 0.230
O 0.959 0.263 0.602
O 0.898 0.664 0.075
O 0.366 0.185 0.770
O 0.041 0.737 0.398
O 0.712 0.066 0.037
O 0.305 0.487 0.780
O 0.587 0.756 0.966
O 0.407 0.707 0.408
O 0.537 0.061 0.361
O 0.470 0.631 0.647
O 0.413 0.244 0.034
O 0.288 0.934 0.963
O 0.118 0.640 0.641
O 0.463 0.939 0.639
O 0.257 0.400 0.520
O 0.117 0.964 0.656
O 0.695 0.513 0.220
O 0.735 0.895 0.484
O 0.530 0.369 0.353
O 0.743 0.600 0.480
O 0.265 0.105 0.516
F 0.200 0.193 0.308
F 0.371 0.555 0.059
F 0.629 0.445 0.941
F 0.800 0.807 0.692
V 0.447 0.245 0.453
V 0.970 0.771 0.542
V 0.553 0.755 0.547
V 0.332 0.350 0.929
V 0.668 0.650 0.071
V 0.030 0.229 0.458
K 0.805 0.127 0.799
K 0.129 0.454 0.207
K 0.871 0.546 0.793
K 0.195 0.873 0.201
P 0.297 0.050 0.650
P 0.715 0.460 0.346
P 0.703 0.950 0.350
P 0.285 0.540 0.654

2.
The following is a PBE+U calculation of crystalline Rb2V3O8 at its relaxed geometry, from the Materials Project.

Properties
Energy with MP2020 corrections ... -7.74 eV/atom
Piezoelectric modulus e_max ... 0.71 C/m²
Polymorph energy (0 for the lowest one) ... 0 meV/atom
Energy of formation from the pure elements ... -2.4520 eV/atom

a b c (Å): 9.054 9.054 5.800
angles (deg): 90.00 90.00 90.00
Fractional coordinates of all 26 atoms:
Rb 0.670 0.830 0.999
Rb 0.830 0.330 0.999
Rb 0.330 0.170 0.999
Rb 0.170 0.670 0.999
V 0.134 0.366 0.526
V 0.366 0.866 0.526
V 0.500 0.500 0.532
V 0.866 0.634 0.526
V 0.634 0.134 0.526
V 0.000 0.000 0.532
O 0.915 0.807 0.633
O 0.000 0.500 0.639
O 0.807 0.085 0.633
O 0.500 0.500 0.249
O 0.193 0.915 0.633
O 0.369 0.869 0.239
O 0.085 0.193 0.633
O 0.000 0.000 0.249
O 0.869 0.631 0.239
O 0.631 0.131 0.239
O 0.415 0.693 0.633
O 0.131 0.369 0.239
O 0.307 0.415 0.633
O 0.500 0.000 0.639
O 0.585 0.307 0.633
O 0.693 0.585 0.633

3.
The following is a PBE+U calculation of crystalline NaCr6O11 at its relaxed geometry, from the Materials Project.

Properties
Energy with MP2020 corrections ... -8.46 eV/atom
Magnetic moment ... 30.00 μB per cell
Energy of formation from the pure elements ... -2.1495 eV/atom

a b c (Å): 5.825 5.823 13.000
angles (deg): 89.93 90.03 119.99
Fractional coordinates of all 36 atoms:
O 0.349 0.173 0.923
O 0.175 0.350 0.422
O 0.825 0.175 0.922
O 0.846 0.694 0.250
O 0.173 0.348 0.078
O 0.154 0.847 0.750
O 0.652 0.827 0.078
O 0.825 0.651 0.579
O 0.827 0.175 0.578
O 0.651 0.825 0.423
O 0.827 0.651 0.922
O 0.667 0.333 0.088
O 0.846 0.153 0.250
O 0.173 0.825 0.422
O 0.154 0.306 0.750
O 0.333 0.667 0.913
O 0.667 0.333 0.413
O 0.348 0.175 0.578
O 0.306 0.153 0.250
O 0.175 0.825 0.079
O 0.333 0.667 0.588
O 0.694 0.847 0.750
Cr 0.000 0.500 0.000
Cr 0.000 0.500 0.500
Cr 0.000 0.000 0.855
Cr 0.000 0.000 0.355
Cr 0.000 0.000 0.146
Cr 0.334 0.667 0.750
Cr 0.500 0.500 0.000
Cr 0.500 0.000 0.500
Cr 0.000 0.000 0.646
Cr 0.500 0.000 0.000
Cr 0.666 0.333 0.250
Cr 0.500 0.500 0.500
Na 0.332 0.666 0.254
Na 0.668 0.334 0.754

4.
The following is a PBE+U calculation of crystalline Na2Mg5Mn11Si12As2O50 at its relaxed geometry, from the Materials Project.

Properties
Energy with MP2020 corrections ... -7.93 eV/atom
Magnetic moment ... 47.00 μB per cell
Energy of formation from the pure elements ... -2.6442 eV/atom

a b c (Å): 9.656 10.320 11.134
angles (deg): 68.29 72.27 81.99
Fractional coordinates of all 82 atoms:
O 0.020 0.630 0.166
O 0.303 0.093 0.557
O 0.043 0.893 0.448
O 0.783 0.340 0.482
O 0.217 0.660 0.518
O 0.369 0.110 0.784
O 0.652 0.660 0.704
O 0.368 0.888 0.446
O 0.220 0.332 0.655
O 0.957 0.107 0.552
O 0.456 0.868 0.708
O 0.126 0.893 0.708
O 0.066 0.344 0.356
O 0.787 0.874 0.707
O 0.769 0.618 0.898
O 0.780 0.668 0.345
O 0.036 0.116 0.803
O 0.312 0.349 0.847
O 0.967 0.339 0.608
O 0.544 0.132 0.292
O 0.085 0.140 0.037
O 0.789 0.132 0.040
O 0.584 0.350 0.357
O 0.726 0.090 0.816
O 0.980 0.370 0.834
O 0.507 0.852 0.976
O 0.096 0.587 0.932
O 0.211 0.868 0.960
O 0.915 0.860 0.963
O 0.348 0.340 0.296
O 0.934 0.656 0.644
O 0.508 0.343 0.613
O 0.631 0.890 0.216
O 0.632 0.112 0.554
O 0.493 0.148 0.024
O 0.874 0.107 0.292
O 0.033 0.661 0.392
O 0.697 0.907 0.443
O 0.904 0.413 0.068
O 0.590 0.394 0.099
O 0.274 0.910 0.184
O 0.681 0.346 0.859
O 0.964 0.884 0.197
O 0.492 0.657 0.387
O 0.213 0.126 0.293
O 0.416 0.650 0.643
O 0.410 0.606 0.901
O 0.231 0.382 0.102
O 0.688 0.651 0.153
O 0.319 0.654 0.141
Si 0.048 0.287 0.729
Si 0.524 0.298 0.260
Si 0.952 0.713 0.271
Si 0.625 0.280 0.501
Si 0.647 0.720 0.270
Si 0.212 0.292 0.262
Si 0.055 0.725 0.500
Si 0.945 0.275 0.500
Si 0.375 0.720 0.499
Si 0.476 0.702 0.740
Si 0.353 0.280 0.730
Si 0.788 0.708 0.738
Na 0.275 0.507 0.396
Na 0.725 0.493 0.604
As 0.674 0.161 0.938
As 0.326 0.839 0.062
Mn 0.560 0.622 0.043
Mn 0.898 0.643 0.027
Mn 0.795 0.389 0.965
Mn 0.205 0.611 0.035
Mn 0.749 0.008 0.258
Mn 0.426 0.009 0.231
Mn 0.440 0.378 0.957
Mn 0.102 0.357 0.973
Mn 0.574 0.991 0.769
Mn 0.000 0.000 0.000
Mn 0.251 0.992 0.742
Mg 0.170 0.000 0.505
Mg 0.077 0.026 0.236
Mg 0.830 0.000 0.495
Mg 0.923 0.974 0.764
Mg 0.500 0.000 0.500

5.
The following is a PBE+U calculation of crystalline Li6Mn2O5F2 at its relaxed geometry, from the Materials Project.

Properties
Energy with MP2020 corrections ... -6.20 eV/atom
Magnetic moment ... 16.00 μB per cell
Polymorph energy (0 for the lowest one) ... 20 meV/atom
Energy of formation from the pure elements ... -2.3125 eV/atom

a b c (Å): 5.871 5.883 9.914
angles (deg): 95.44 93.56 118.10
Fractional coordinates of all 30 atoms:
Li 0.471 0.133 0.607
Li 0.908 0.107 0.579
Li 0.210 0.131 0.092
Li 0.669 0.585 0.109
Li 0.919 0.580 0.605
Li 0.320 0.878 0.902
Li 0.331 0.415 0.891
Li 0.092 0.893 0.421
Li 0.680 0.122 0.098
Li 0.081 0.420 0.395
Li 0.529 0.867 0.393
Li 0.790 0.869 0.908
O 0.018 0.751 0.009
O 0.748 0.736 0.486
O 0.504 0.246 0.978
O 0.631 0.500 0.749
O 0.982 0.249 0.991
O 0.496 0.754 0.022
O 0.263 0.749 0.526
O 0.369 0.500 0.251
O 0.252 0.264 0.514
O 0.737 0.251 0.474
Mn 0.204 0.620 0.119
Mn 0.796 0.380 0.881
Mn 0.441 0.607 0.623
Mn 0.559 0.393 0.377
F 0.365 0.030 0.259
F 0.101 0.491 0.762
F 0.899 0.509 0.238
F 0.635 0.970 0.741

6.
The following is a PBE+U calculation of crystalline DyMn4Cu3O12 at its relaxed geometry, from the Materials Project.

Properties
Energy with MP2020 corrections ... -7.49 eV/atom
Magnetic moment ... 13.74 μB per cell
Energy of formation from the pure elements ... -1.8454 eV/atom

a b c (Å): 6.416 6.416 6.416
angles (deg): 109.47 109.47 109.47
Fractional coordinates of all 20 atoms:
O 0.830 0.132 0.302
O 0.132 0.302 0.830
O 0.472 0.302 0.170
O 0.170 0.472 0.302
O 0.302 0.830 0.132
O 0.698 0.170 0.868
O 0.528 0.698 0.830
O 0.170 0.868 0.698
O 0.302 0.170 0.472
O 0.698 0.830 0.528
O 0.830 0.528 0.698
O 0.868 0.698 0.170
Cu 0.000 0.500 0.500
Cu 0.500 0.000 0.500
Cu 0.500 0.500 0.000
Mn 0.000 0.500 0.000
Mn 0.500 0.500 0.500
Mn 0.500 0.000 0.000
Mn 0.000 0.000 0.500
Dy 0.000 0.000 0.000

7.
The following is a PBE+U calculation of crystalline FeOF at its relaxed geometry, from the Materials Project.

Properties
Energy with MP2020 corrections ... -7.14 eV/atom
Magnetic moment ... 40.00 μB per cell
Energy of formation from the pure elements ... -2.0248 eV/atom

a b c (Å): 3.087 9.552 9.613
angles (deg): 89.51 90.00 90.00
Fractional coordinates of all 24 atoms:
Fe 0.000 0.979 0.000
Fe 0.500 0.740 0.221
Fe 0.000 0.479 0.501
Fe 0.500 0.771 0.747
Fe 0.500 0.270 0.250
Fe 0.000 0.490 0.011
Fe 0.000 0.993 0.507
Fe 0.500 0.282 0.762
F 0.000 0.141 0.355
F 0.000 0.656 0.351
F 0.500 0.093 0.099
F 0.000 0.153 0.849
F 0.500 0.906 0.403
F 0.500 0.601 0.596
F 0.000 0.659 0.834
F 0.500 0.098 0.594
O 0.500 0.594 0.094
O 0.000 0.348 0.657
O 0.500 0.400 0.406
O 0.000 0.853 0.645
O 0.000 0.848 0.156
O 0.000 0.337 0.155
O 0.500 0.903 0.900
O 0.500 0.409 0.907

8.
The following is a PBE+U calculation of crystalline Sr2Ca6Mn7FeO24 at its relaxed geometry, from the Materials Project.

Properties
Energy with MP2020 corrections ... -7.57 eV/atom
Magnetic moment ... 27.08 μB per cell
Energy of formation from the pure elements ... -2.3973 eV/atom

a b c (Å): 7.674 7.674 7.673
angles (deg): 90.00 90.00 90.02
Fractional coordinates of all 40 atoms:
O 0.750 0.501 0.500
O 0.255 0.994 0.000
O 0.749 0.501 0.000
O 0.503 0.503 0.250
O 0.506 0.250 0.500
O 0.503 0.503 0.750
O 0.994 0.255 0.000
O 0.250 0.506 0.500
O 0.994 0.251 0.500
O 0.745 0.999 0.000
O 0.997 0.504 0.749
O 0.997 0.997 0.745
O 0.997 0.997 0.255
O 0.999 0.745 0.000
O 0.504 0.997 0.251
O 0.997 0.504 0.251
O 0.504 0.997 0.749
O 0.749 0.999 0.500
O 0.251 0.506 0.000
O 0.501 0.749 0.000
O 0.506 0.251 0.000
O 0.251 0.994 0.500
O 0.999 0.749 0.500
O 0.501 0.750 0.500
Ca 0.750 0.250 0.750
Ca 0.750 0.750 0.750
Ca 0.750 0.250 0.250
Ca 0.250 0.750 0.250
Ca 0.750 0.750 0.250
Ca 0.250 0.750 0.750
Mn 0.501 0.999 0.500
Mn 0.999 0.999 0.500
Mn 0.999 0.501 0.000
Mn 0.501 0.501 0.500
Mn 0.999 0.501 0.500
Mn 0.501 0.999 0.000
Mn 0.501 0.501 0.000
Sr 0.250 0.250 0.750
Sr 0.250 0.250 0.250
Fe 0.999 0.999 0.000

9.
The following is a PBE+U calculation of crystalline Sr2MnSbO6 at its relaxed geometry, from the Materials Project.

Properties
Energy with MP2020 corrections ... -7.20 eV/atom
Magnetic moment ... 4.00 μB per cell
Energy of formation from the pure elements ... -2.5678 eV/atom

a b c (Å): 5.740 5.740 5.740
angles (deg): 121.65 121.65 87.17
Fractional coordinates of all 10 atoms:
Sb 0.500 0.500 0.000
Sr 0.250 0.750 0.500
Sr 0.750 0.250 0.500
O 0.263 0.263 0.000
O 0.754 0.754 0.507
O 0.246 0.246 0.493
O 0.754 0.246 0.000
O 0.737 0.737 0.000
O 0.246 0.754 0.000
Mn 0.000 0.000 0.000

10.
The following is a PBE+U calculation of crystalline MgTl4Mo2O8 at its relaxed geometry, from the Materials Project.

Properties
Energy with MP2020 corrections ... -6.40 eV/atom
Magnetic moment ... 2.00 μB per cell
Polymorph energy (0 for the lowest one) ... 55 meV/atom
Energy of formation from the pure elements ... -1.5751 eV/atom

a b c (Å): 6.351 6.351 9.839
angles (deg): 90.00 90.00 120.00
Fractional coordinates of all 15 atoms:
O 0.823 0.645 0.745
O 0.171 0.829 0.251
O 0.355 0.177 0.745
O 0.667 0.333 0.504
O 0.659 0.829 0.251
O 0.171 0.341 0.251
O 0.333 0.667 0.525
O 0.823 0.177 0.745
Tl 0.000 0.000 0.555
Tl 0.333 0.667 0.756
Tl 0.000 0.000 0.930
Tl 0.667 0.333 0.229
Mo 0.667 0.333 0.683
Mo 0.333 0.667 0.330
Mg 0.000 0.000 0.251

11.
The following is a PBE+U calculation of crystalline MgAl2Co2O6 at its relaxed geometry, from the Materials Project.

Properties
Energy with MP2020 corrections ... -7.25 eV/atom
Magnetic moment ... 6.00 μB per cell
Polymorph energy (0 for the lowest one) ... 35 meV/atom
Energy of formation from the pure elements ... -2.4366 eV/atom

a b c (Å): 4.989 5.721 4.988
angles (deg): 89.74 59.96 115.29
Fractional coordinates of all 11 atoms:
O 0.841 0.284 0.926
O 0.210 0.283 0.232
O 0.789 0.717 0.766
O 0.482 0.717 0.441
O 0.518 0.284 0.556
O 0.159 0.716 0.072
Al 0.701 0.550 0.149
Al 0.298 0.450 0.850
Mg 0.000 0.500 0.499
Co 0.338 0.008 0.331
Co 0.663 0.992 0.666